Density functional theory data (GGA-PBE) for a geometry-optimized Na2Nb4Al4Si5S7O48 structure.

Cell lengths 17.3467, 8.6876, 22.5208 Å; angles 90.15, 89.76, 120.07 degrees
Last column: nearest neighbours and their distance in Å.
Fractional coordinates of all 210 atoms:
O1 0.2741 0.7013 0.9688  1 S 1.50
O2 0.2572 0.6382 0.8621  1 S 1.46
O3 0.9110 0.5264 0.0221  1 Si 1.58, 1 Al 1.76
O4 0.9155 0.8092 0.5898  1 S 1.47
O5 0.2478 0.3061 0.0234  1 Si 1.57
O6 0.3552 0.1589 0.0300  1 S 1.46
O7 0.6794 0.4876 0.0758  1 S 1.50
O8 0.8212 0.5165 0.6359  1 S 1.48
O9 0.9840 0.1624 0.5894  1 S 1.48
O10 0.9285 0.3625 0.9228  1 S 1.50
O11 0.4179 0.0236 0.0919  1 S 1.48
O12 0.4307 0.4979 0.4221  1 S 1.49
O13 0.7373 0.3082 0.7435  1 Si 1.71, 1 Nb 1.85
O14 0.5848 0.9662 0.9099  1 S 1.48
O15 0.5715 0.5012 0.5704  1 Si 1.67, 1 Nb 1.85
O16 0.5982 0.0249 0.5903  1 Si 1.62
O17 0.9024 0.9790 0.4071  1 S 1.48
O18 0.4302 0.3643 0.6407  1 Si 1.62
O19 0.0811 0.9669 0.1943  1 Si 1.64
O20 0.7481 0.3608 0.4223  1 S 1.47
O21 0.9192 0.4849 0.4284  1 Si 1.63, 1 Al 1.77
O22 0.5831 0.4695 0.9734  1 Si 1.70, 1 Nb 1.87
O23 0.2546 0.8705 0.3632  1 S 1.46
O24 0.2548 0.3673 0.1394  1 Si 1.65
O25 0.2649 0.6905 0.2616  1 S 1.45
O26 0.9132 0.8006 0.3061  1 S 1.48
O27 0.2685 0.8384 0.7597  1 S 1.45
O28 0.5651 0.6342 0.3637  1 S 1.46
O29 0.3137 0.4939 0.6403  1 Si 1.67, 1 Nb 1.87
O30 0.1000 0.1732 0.0910  1 Si 1.64
O31 0.5087 0.1761 0.9094  1 Si 1.63, 1 Al 1.79
O32 0.8532 0.5456 0.5289  1 S 1.47
O33 0.3460 0.5240 0.5226  1 Si 1.59, 1 Al 1.75
O34 0.5662 0.6507 0.0750  1 S 1.52
O35 0.9284 0.4971 0.1409  1 Si 1.64
O36 0.3979 0.9745 0.4103  1 S 1.49
O37 0.8944 0.9671 0.6958  1 S 1.48
O38 0.1833 0.8499 0.8573  1 Si 1.58
O39 0.4849 0.1627 0.5898  1 Si 1.62
O40 0.5965 0.1536 0.8097  1 Si 1.59, 1 Al 1.77
O41 0.5880 0.2051 0.4103  1 S 1.52
O42 0.1852 0.5093 0.0702  1 Si 1.62
O43 0.0068 0.8401 0.4093  1 Si 1.63, 1 Al 1.80
O44 0.1795 0.8711 0.5748  1 S 1.51
O45 0.7717 0.8443 0.4687  1 S 1.51
O46 0.0844 0.2025 0.4099  1 S 1.49
O47 0.1602 0.4930 0.7671  1 Si 1.57
O48 0.7456 0.8495 0.0708  1 Si 1.62
O49 0.0809 0.6931 0.4737  1 Si 1.69, 1 Nb 1.89
O50 0.7416 0.3568 0.1363  1 S 1.49
O51 0.0121 0.8321 0.6891  1 Si 1.60, 1 Al 1.73
O52 0.1553 0.4639 0.4690  1 S 1.52
O53 0.6553 0.4636 0.4700  1 S 1.49
O54 0.4220 0.5459 0.0297  1 S 1.45
O55 0.7568 0.6409 0.5735  1 S 1.52
O56 0.1849 0.4917 0.3619  1 S 1.47
O57 0.3486 0.5386 0.2450  1 S 1.51
O58 0.9388 0.3611 0.6363  1 S 1.47
O59 0.7541 0.8669 0.3625  1 S 1.47
O60 0.8161 0.4974 0.9231  1 S 1.49
O61 0.4167 0.8062 0.5966  1 Si 1.61
O62 0.5104 0.8179 0.4095  1 S 1.49
O63 0.4851 0.8082 0.0912  1 S 1.49
O64 0.0648 0.6253 0.3605  1 Si 1.61, 1 Al 1.75
O65 0.0140 0.2105 0.1991  1 S 1.46
O66 0.7678 0.6876 0.9710  1 S 1.51
O67 0.4115 0.7954 0.3041  1 S 1.51
O68 0.5908 0.4785 0.2652  1 Si 1.58, 1 Al 1.75
O69 0.5131 0.1918 0.1904  1 Si 1.59, 1 Al 1.76
O70 0.4391 0.5182 0.1372  1 S 1.48
O71 0.1582 0.8256 0.2619  1 Si 1.59, 1 Al 1.76
O72 0.9839 0.8059 0.0903  1 Si 1.62
O73 0.0826 0.9682 0.9096  1 Si 1.68, 1 Nb 1.85
O74 0.4230 0.5346 0.7483  1 S 1.55
O75 0.5762 0.6895 0.4701  1 S 1.51
O76 0.4846 0.7976 0.8067  1 S 1.47
O77 0.6823 0.4945 0.3630  1 S 1.46
O78 0.2386 0.3028 0.7428  1 Si 1.68
O79 0.5969 0.1663 0.0890  1 S 1.48
O80 0.0837 0.4641 0.2621  1 S 1.47
O81 0.9101 0.0294 0.8037  1 S 1.47
O82 0.9228 0.3120 0.2486  1 S 1.54
O83 0.1555 0.8325 0.9735  1 Si 1.65
O84 0.4121 0.2969 0.5213  1 Si 1.58, 1 Al 1.76
O85 0.0969 0.0274 0.5884  1 S 1.48
O86 0.5666 0.5050 0.8603  1 Si 1.61, 1 Al 1.75
O87 0.3171 0.1362 0.4234  1 S 1.49
O88 0.7638 0.8387 0.7599  1 S 1.45
O89 0.4171 0.3176 0.2410  1 Si 1.65
O90 0.0655 0.4820 0.5742  1 S 1.51
O91 0.2286 0.1565 0.5278  1 S 1.48
O92 0.6852 0.8779 0.8616  1 S 1.47
O93 0.5954 0.0293 0.3068  1 Si 1.70, 1 Nb 1.84
O94 0.0059 0.1979 0.9091  1 S 1.49
O95 0.5839 0.7031 0.7616  1 S 1.47
O96 0.7562 0.1433 0.6383  1 Si 1.62
O97 0.7397 0.1809 0.2447  1 Si 1.66
O98 0.7468 0.1401 0.9231  1 S 1.50
O99 0.0704 0.6348 0.0748  1 Si 1.64
O100 0.0986 0.0405 0.3098  1 Si 1.60, 1 Al 1.75
O101 0.9161 0.5193 0.7389  1 Si 1.67
O102 0.8961 0.8214 0.9105  1 S 1.48
O103 0.6555 0.8469 0.9689  1 S 1.52
O104 0.7667 0.6937 0.2641  1 S 1.47
O105 0.7282 0.2993 0.0281  1 S 1.47
O106 0.8191 0.1325 0.4225  1 S 1.49
O107 0.2465 0.3526 0.4232  1 S 1.50
O108 0.9212 0.2998 0.5289  1 S 1.48
O109 0.4238 0.3628 0.9298  1 Si 1.61, 1 Al 1.78
O110 0.0882 0.6931 0.7601  1 Si 1.57
O111 0.5817 0.1953 0.6940  1 Si 1.65
O112 0.2690 0.8493 0.4710  1 S 1.50
O113 0.3233 0.1286 0.1371  1 S 1.51
O114 0.5141 0.8175 0.6987  1 S 1.47
O115 0.0610 0.4893 0.8635  1 S 1.45
O116 0.4136 0.0283 0.8049  1 S 1.48
O117 0.4046 0.8303 0.9066  1 S 1.50
O118 0.8472 0.1573 0.7438  1 S 1.54
O119 0.8923 0.8215 0.1989  1 S 1.47
O120 0.4815 0.1628 0.3069  1 Si 1.72, 1 Nb 1.84
O121 0.0734 0.4549 0.9706  1 S 1.50
O122 0.8136 0.1320 0.1404  1 Si 1.69, 1 Nb 1.85
O123 0.9790 0.7976 0.8064  1 Si 1.68
O124 0.3235 0.5112 0.9232  1 S 1.49
O125 0.2457 0.6413 0.5700  1 Si 1.64
O126 0.9170 0.0281 0.0972  1 Si 1.61
O127 0.8461 0.5365 0.2469  1 S 1.51
O128 0.0967 0.1641 0.8068  1 Si 1.68, 1 Nb 1.86
O129 0.3473 0.1578 0.7451  1 S 1.51
O130 0.0834 0.2076 0.6909  1 Si 1.61, 1 Al 1.74
O131 0.5816 0.9634 0.1909  1 Si 1.59, 1 Al 1.76
O132 0.9844 0.1716 0.3070  1 S 1.47
O133 0.7451 0.1863 0.5213  1 Si 1.58, 1 Al 1.76
O134 0.6844 0.8646 0.5701  1 Si 1.66, 1 Nb 1.84
O135 0.7534 0.6363 0.8630  1 S 1.47
O136 0.2419 0.1256 0.6359  1 S 1.48
O137 0.2388 0.1678 0.2433  1 Si 1.70, 1 Nb 1.87
O138 0.8458 0.1683 0.0230  1 Si 1.58, 1 Al 1.76
O139 0.6580 0.4909 0.7614  1 Si 1.59, 1 Al 1.76
O140 0.6589 0.8333 0.2645  1 Si 1.58, 1 Al 1.74
O141 0.3962 0.9692 0.6976  1 S 1.48
O142 0.3945 0.8224 0.1965  1 S 1.47
O143 0.2553 0.1519 0.9210  1 Si 1.59
O144 0.2587 0.8714 0.0769  1 S 1.49
S1 0.9739 0.3208 0.5828  4 O 1.47-1.51
S2 0.6679 0.9582 0.9140  4 O 1.47-1.52
S3 0.8400 0.6277 0.5823  4 O 1.47-1.52
S4 0.1871 0.0514 0.5821  4 O 1.48-1.51
S5 0.3137 0.6698 0.9138  4 O 1.46-1.50
S6 0.5205 0.6582 0.4153  4 O 1.46-1.51
S7 0.3082 0.9579 0.4158  4 O 1.46-1.50
S8 0.8558 0.7179 0.2535  4 O 1.47-1.51
S9 0.6711 0.3866 0.4154  4 O 1.46-1.52
S10 0.0045 0.2871 0.2547  4 O 1.46-1.54
S11 0.5053 0.7228 0.7547  4 O 1.47-1.55
S12 0.6871 0.3235 0.0818  4 O 1.47-1.50
S13 0.3564 0.9943 0.7525  4 O 1.45-1.51
S14 0.3407 0.0498 0.0824  4 O 1.46-1.51
S15 0.8121 0.9560 0.4136  4 O 1.47-1.51
S16 0.1678 0.3772 0.4141  4 O 1.47-1.52
S17 0.3531 0.7165 0.2501  4 O 1.45-1.51
S18 0.4738 0.6281 0.0828  4 O 1.45-1.52
S19 0.8078 0.6587 0.9156  4 O 1.47-1.51
S20 0.8532 0.9880 0.7509  4 O 1.45-1.54
S21 0.0187 0.3795 0.9155  4 O 1.45-1.50
Na1 0.3323 0.3271 0.8405  3 O 2.31-2.50
Na2 0.8368 0.3376 0.3367  6 O 2.47-2.62
Na3 0.8338 0.3373 0.8368  6 O 2.48-2.69
Na4 0.3317 0.3278 0.3346  6 O 2.53-2.64
Na5 0.4979 0.0036 0.9956  6 O 2.40-2.68
Na6 0.0004 0.9941 0.4967  6 O 2.41-2.64
Si1 0.9703 0.6093 0.0791  4 O 1.58-1.64
Si2 0.0071 0.7198 0.7468  4 O 1.57-1.68
Si3 0.1375 0.9838 0.2548  4 O 1.59-1.70
Si4 0.8324 0.0460 0.0785  4 O 1.58-1.69
Si5 0.1419 0.3030 0.7489  4 O 1.57-1.68
Si6 0.5159 0.3698 0.9140  4 O 1.61-1.70
Si7 0.6361 0.2904 0.7558  4 O 1.59-1.71
Si8 0.2001 0.3408 0.0769  4 O 1.57-1.65
Si9 0.4688 0.3289 0.5795  4 O 1.58-1.67
Si10 0.6432 0.9908 0.2467  4 O 1.58-1.70
Si11 0.5066 0.2980 0.2460  4 O 1.58-1.72
Si12 0.6991 0.0676 0.5779  4 O 1.58-1.66
Si13 0.3325 0.6167 0.5793  4 O 1.59-1.67
Si14 0.0150 0.6617 0.4143  4 O 1.61-1.69
Si15 0.1754 0.9533 0.9128  4 O 1.58-1.68
Nb1 0.0094 0.9947 0.8563  3 O 1.85-1.89
Nb2 0.1641 0.6697 0.0244  4 O 1.88-2.07
Nb3 0.0076 0.0012 0.1375  4 O 1.86-1.93
Nb4 0.8348 0.3216 0.1885  3 O 1.85-1.95
Nb5 0.1621 0.6665 0.5222  6 O 1.89-2.08
Nb6 0.3350 0.3490 0.6907  4 O 1.87-2.04
Nb7 0.5038 0.0137 0.3527  3 O 1.84-2.04
Nb8 0.6614 0.6576 0.0218  6 O 1.87-2.08
Nb9 0.8277 0.3272 0.6943  4 O 1.85-2.01
Nb10 0.6664 0.6701 0.5263  3 O 1.84-2.02
Nb11 0.5058 0.0136 0.6388  4 O 1.87-1.94
Nb12 0.3275 0.3244 0.1911  5 O 1.87-2.09
Al1 0.3357 0.3391 0.4842  2 O 1.75-1.76
Al2 0.0051 0.9873 0.3538  3 O 1.75-1.93
Al3 0.8377 0.3360 0.4789  2 O 1.76-1.77
Al4 0.0063 0.0079 0.6576  2 O 1.73-1.74
Al5 0.8389 0.3333 0.9824  2 O 1.76
Al6 0.1523 0.6656 0.3120  3 O 1.75-1.91
Al7 0.1654 0.6761 0.8069  4 O 1.77-1.94
Al8 0.6547 0.6409 0.8129  3 O 1.75-1.95
Al9 0.6661 0.6693 0.3040  3 O 1.74-1.87
Al10 0.3279 0.3237 0.9712  3 O 1.76-1.79
Al11 0.5028 0.0196 0.8549  3 O 1.77-1.95
Al12 0.5063 0.0078 0.1526  2 O 1.76

## Properties
* calculated formation energy: -2587.8 meV/atom
* total DFT energy (no corrections): -7.140 eV per atom
* density: 2.8 g/cm3
* magnetization: 0.00 μB/f.u.